Here is crystalline Li4Mo3O8 at its relaxed geometry from the Materials Project database. Energies are from GGA+U.

space-group type	R-3m, No. 166
volume	10.629	Å³ per atom
ΔE_f	-197.1	kJ per mole of atoms
density	4.6	g cm⁻³
polymorph energy (0 for the lowest one)	0.034	eV per atom
uncorrected energy	-190.6	eV per cell

Unit cell a=11.3425 b=11.3425 c=11.3425 alpha=29.79 beta=29.79 gamma=29.79
Fractional coordinates of all 30 atoms:
O1 0.3803 0.3803 0.8714
O2 0.8714 0.3803 0.3803
O3 0.8873 0.3780 0.8873
O4 0.6281 0.6281 0.6281
O5 0.8842 0.8842 0.8842
O6 0.6197 0.1286 0.6197
O7 0.1127 0.1127 0.6220
O8 0.3780 0.8873 0.8873
O9 0.1158 0.1158 0.1158
O10 0.3719 0.3719 0.3719
O11 0.3803 0.8714 0.3803
O12 0.6220 0.1127 0.1127
O13 0.8873 0.8873 0.3780
O14 0.1286 0.6197 0.6197
O15 0.6197 0.6197 0.1286
O16 0.1127 0.6220 0.1127
Mo1 0.7145 0.2679 0.2679
Mo2 0.2679 0.2679 0.7145
Mo3 0.2855 0.7321 0.7321
Mo4 0.2679 0.7145 0.2679
Mo5 0.7321 0.2855 0.7321
Mo6 0.7321 0.7321 0.2855
Li1 0.0000 0.0000 0.0000
Li2 0.2456 0.2456 0.2456
Li3 0.8258 0.8258 0.8258
Li4 0.5000 0.5000 0.5000
Li5 0.7544 0.7544 0.7544
Li6 0.3150 0.3150 0.3150
Li7 0.6850 0.6850 0.6850
Li8 0.1742 0.1742 0.1742

***

Here is crystalline Li11Mo12O24 at its relaxed geometry from the Materials Project database. Energies are from GGA+U.

space-group type	P-1, No. 2
volume	11.266	Å³ per atom
ΔE_f	-187.5	kJ per mole of atoms
density	5.1	g cm⁻³
uncorrected energy	-306.3	eV per cell

Unit cell a=7.0407 b=8.2917 c=9.3517 alpha=102.01 beta=96.15 gamma=92.77
Fractional coordinates of all 47 atoms:
Mo1 0.2471 0.5035 0.2500
Mo2 0.0844 0.8331 0.4201
Mo3 0.4077 0.1656 0.0836
Mo4 0.7529 0.4965 0.7500
Mo5 0.5765 0.3407 0.4190
Mo6 0.0801 0.3290 0.9172
Mo7 0.7504 0.0053 0.2487
Mo8 0.5923 0.8344 0.9164
Mo9 0.9156 0.1669 0.5799
Mo10 0.2496 0.9947 0.7513
Mo11 0.9199 0.6710 0.0828
Mo12 0.4235 0.6593 0.5810
O1 0.0303 0.9123 0.2179
O2 0.3162 0.9162 0.9572
O3 0.1975 0.5774 0.0409
O4 0.8027 0.9226 0.4571
O5 0.5250 0.4130 0.2094
O6 0.9695 0.5926 0.2929
O7 0.3582 0.2396 0.8732
O8 0.3682 0.7464 0.3790
O9 0.4750 0.5870 0.7906
O10 0.7019 0.5782 0.5386
O11 0.8665 0.7343 0.8686
O12 0.1335 0.2657 0.1314
O13 0.6418 0.7604 0.1268
O14 0.8025 0.4226 0.9591
O15 0.6318 0.2536 0.6210
O16 0.6838 0.0838 0.0428
O17 0.8477 0.2551 0.3745
O18 0.1973 0.0774 0.5429
O19 0.1523 0.7449 0.6255
O20 0.0305 0.4074 0.7071
O21 0.2981 0.4218 0.4614
O22 0.9697 0.0877 0.7821
O23 0.5311 0.8984 0.7020
O24 0.4689 0.1016 0.2980
Li1 0.0000 0.5000 0.5000
Li2 0.6699 0.6733 0.3292
Li3 0.6790 0.1674 0.8446
Li4 0.1639 0.1526 0.3183
Li5 0.8354 0.3248 0.1602
Li6 0.8361 0.8474 0.6817
Li7 0.3210 0.8326 0.1554
Li8 0.3301 0.3267 0.6708
Li9 0.5000 0.0000 0.5000
Li10 0.1646 0.6752 0.8398
Li11 0.5000 0.5000 0.0000

***

Here is crystalline Li4Mo3O8 at its relaxed geometry from the Materials Project database. Energies are from GGA+U.

space-group type	R-3m, No. 166
volume	11.434	Å³ per atom
ΔE_f	-200.4	kJ per mole of atoms
density	4.3	g cm⁻³
polymorph energy (0 for the lowest one)	0.000	eV per atom
uncorrected energy	-95.8	eV per cell

Unit cell a=6.3110 b=6.3110 c=6.3110 alpha=58.47 beta=58.47 gamma=58.47
Fractional coordinates of all 15 atoms:
O1 0.2580 0.2580 0.7693
O2 0.7420 0.2307 0.7420
O3 0.2580 0.7693 0.2580
O4 0.2369 0.2369 0.2369
O5 0.7693 0.2580 0.2580
O6 0.7420 0.7420 0.2307
O7 0.7631 0.7631 0.7631
O8 0.2307 0.7420 0.7420
Li1 0.5000 0.5000 0.5000
Li2 0.6390 0.6390 0.6390
Li3 0.3610 0.3610 0.3610
Li4 0.0000 0.0000 0.0000
Mo1 0.0000 0.5000 0.0000
Mo2 0.0000 0.0000 0.5000
Mo3 0.5000 0.0000 0.0000

***

Here is crystalline Li4Mo3O12 at its relaxed geometry from the Materials Project database. Energies are from GGA+U.

space-group type	Pnma, No. 62
volume	12.996	Å³ per atom
ΔE_f	-189.8	kJ per mole of atoms
density	3.4	g cm⁻³
uncorrected energy	-476.3	eV per cell

Unit cell a=5.2148 b=10.5336 c=17.9808 alpha=90.00 beta=90.00 gamma=90.00
Fractional coordinates of all 76 atoms:
O1 0.1477 0.6149 0.7949
O2 0.3523 0.1149 0.2949
O3 0.9224 0.1292 0.7142
O4 0.9162 0.9902 0.5756
O5 0.5776 0.6292 0.2142
O6 0.8576 0.2500 0.3453
O7 0.1477 0.8851 0.7949
O8 0.3576 0.2500 0.1547
O9 0.5776 0.8708 0.2142
O10 0.6477 0.8851 0.7051
O11 0.9162 0.6140 0.9639
O12 0.0776 0.8708 0.2858
O13 0.6424 0.7500 0.8453
O14 0.4418 0.3856 0.6274
O15 0.6477 0.6149 0.7051
O16 0.4224 0.1292 0.7858
O17 0.9162 0.8860 0.9639
O18 0.4162 0.8860 0.5361
O19 0.0838 0.4902 0.4244
O20 0.9418 0.3856 0.8726
O21 0.5582 0.8856 0.3726
O22 0.4162 0.6140 0.5361
O23 0.0838 0.0098 0.4244
O24 0.9446 0.7500 0.4952
O25 0.9418 0.1144 0.8726
O26 0.0554 0.2500 0.5048
O27 0.9162 0.5098 0.5756
O28 0.4162 0.9902 0.9244
O29 0.5838 0.4902 0.0756
O30 0.0838 0.1140 0.0361
O31 0.9224 0.3708 0.7142
O32 0.5838 0.0098 0.0756
O33 0.5582 0.6143 0.3726
O34 0.4418 0.1144 0.6274
O35 0.4224 0.3708 0.7858
O36 0.8523 0.3851 0.2051
O37 0.0776 0.6292 0.2858
O38 0.5554 0.2500 0.9952
O39 0.1424 0.7500 0.6547
O40 0.4162 0.5098 0.9244
O41 0.3523 0.3851 0.2949
O42 0.0838 0.3860 0.0361
O43 0.4446 0.7500 0.0048
O44 0.0582 0.8856 0.1274
O45 0.8523 0.1149 0.2051
O46 0.5838 0.3860 0.4639
O47 0.5838 0.1140 0.4639
O48 0.0582 0.6143 0.1274
Li1 0.6010 0.2500 0.2506
Li2 0.3990 0.7500 0.7494
Li3 0.2472 0.4243 0.5266
Li4 0.7528 0.9243 0.4734
Li5 0.1010 0.2500 0.2494
Li6 0.7578 0.2500 0.7996
Li7 0.2528 0.5757 0.0266
Li8 0.2528 0.9243 0.0266
Li9 0.2472 0.0757 0.5266
Li10 0.2422 0.7500 0.2004
Li11 0.8990 0.7500 0.7506
Li12 0.7422 0.7500 0.2996
Li13 0.2578 0.2500 0.7004
Li14 0.7528 0.5757 0.4734
Li15 0.7472 0.4243 0.9734
Li16 0.7472 0.0757 0.9734
Mo1 0.2247 0.4723 0.8443
Mo2 0.2816 0.2500 0.0560
Mo3 0.2247 0.0277 0.8443
Mo4 0.2753 0.5277 0.3443
Mo5 0.2753 0.9723 0.3443
Mo6 0.7753 0.5277 0.1557
Mo7 0.7753 0.9723 0.1557
Mo8 0.7247 0.0277 0.6557
Mo9 0.7184 0.7500 0.9440
Mo10 0.2184 0.7500 0.5560
Mo11 0.7247 0.4723 0.6557
Mo12 0.7816 0.2500 0.4440

***

Here is crystalline Li2MoO3 at its relaxed geometry from the Materials Project database. Energies are from GGA+U.

space-group type	P1, No. 1
volume	9.886	Å³ per atom
ΔE_f	-203.1	kJ per mole of atoms
density	4.4	g cm⁻³
polymorph energy (0 for the lowest one)	0.044	eV per atom
uncorrected energy	-295.0	eV per cell

Unit cell a=6.0635 b=18.1596 c=16.0951 alpha=19.20 beta=55.27 gamma=59.92
Fractional coordinates of all 48 atoms:
Li1 0.4901 0.6498 0.0125
Li2 0.9788 0.4859 0.0176
Li3 0.5010 0.5050 0.9934
Li4 0.0143 0.6666 0.4942
Li5 0.9918 0.3323 0.5028
Li6 0.5005 0.3318 0.9993
Li7 0.9881 0.0015 0.4986
Li8 0.4930 0.1678 0.5016
Li9 0.4974 0.4914 0.5186
Li10 0.0107 0.6538 0.0108
Li11 0.0078 0.3327 0.9931
Li12 0.5077 0.0103 0.9968
Li13 0.5053 0.1810 0.9811
Li14 0.0200 0.1857 0.9755
Li15 0.9930 0.8308 0.0059
Li16 0.9783 0.0017 0.0094
O1 0.2626 0.4360 0.7307
O2 0.7481 0.4007 0.2721
O3 0.2406 0.3960 0.2706
O4 0.7628 0.7385 0.2662
O5 0.2609 0.2646 0.7281
O6 0.7380 0.0797 0.2621
O7 0.7553 0.5956 0.7396
O8 0.7485 0.4369 0.7244
O9 0.2329 0.5712 0.7686
O10 0.7368 0.5829 0.2475
O11 0.2617 0.7468 0.2446
O12 0.7535 0.0832 0.7472
O13 0.2497 0.9145 0.2567
O14 0.2508 0.9132 0.7515
O15 0.2660 0.7769 0.7241
O16 0.2319 0.0708 0.2658
O17 0.7382 0.9129 0.2554
O18 0.7510 0.9211 0.7545
O19 0.2413 0.2448 0.2578
O20 0.7396 0.7680 0.7263
O21 0.2529 0.5809 0.2467
O22 0.7710 0.2630 0.7344
O23 0.7136 0.2272 0.2762
O24 0.2717 0.0800 0.7532
Mo1 0.4975 0.8267 0.0078
Mo2 0.4954 0.8322 0.5003
Mo3 0.4902 0.6645 0.5064
Mo4 0.9986 0.4952 0.5016
Mo5 0.4977 0.3336 0.5000
Mo6 0.0050 0.8314 0.4994
Mo7 0.0197 0.1709 0.4913
Mo8 0.4864 0.0105 0.4971

***

Here is crystalline LiMoO2 at its relaxed geometry from the Materials Project database. Energies are from GGA+U.

space-group type	C2/m, No. 12
volume	10.098	Å³ per atom
ΔE_f	-173.9	kJ per mole of atoms
density	5.5	g cm⁻³
polymorph energy (0 for the lowest one)	0.159	eV per atom
uncorrected energy	-50.6	eV per cell

Unit cell a=5.4860 b=5.4860 c=4.9965 alpha=81.44 beta=81.44 gamma=32.94
Fractional coordinates of all 8 atoms:
Li1 0.0000 0.0000 0.0000
Li2 0.5000 0.5000 0.5000
O1 0.3862 0.3862 0.8586
O2 0.8594 0.8594 0.3709
O3 0.6138 0.6138 0.1414
O4 0.1406 0.1406 0.6291
Mo1 0.2470 0.2470 0.2165
Mo2 0.7530 0.7530 0.7835

***

Here is crystalline LiMo2O4 at its relaxed geometry from the Materials Project database. Energies are from GGA+U.

space-group type	C2/c, No. 15
volume	12.894	Å³ per atom
ΔE_f	-192.0	kJ per mole of atoms
density	4.8	g cm⁻³
polymorph energy (0 for the lowest one)	0.000	eV per atom
uncorrected energy	-96.3	eV per cell

Unit cell a=6.2675 b=6.4232 c=6.3857 alpha=58.59 beta=60.17 gamma=60.41
Fractional coordinates of all 14 atoms:
O1 0.2534 0.7136 0.2558
O2 0.7120 0.2769 0.2518
O3 0.2558 0.2772 0.2534
O4 0.7442 0.7228 0.7466
O5 0.2880 0.7231 0.7482
O6 0.7466 0.2864 0.7442
O7 0.2518 0.2593 0.7120
O8 0.7482 0.7407 0.2880
Mo1 0.5000 0.5000 0.0000
Mo2 0.5000 0.5000 0.5000
Mo3 0.5000 0.0000 0.5000
Mo4 0.0000 0.5000 0.5000
Li1 0.8809 0.8691 0.8809
Li2 0.1191 0.1309 0.1191

***

Here is crystalline Li2MoO3 at its relaxed geometry from the Materials Project database. Energies are from GGA+U.

space-group type	C2/m, No. 12
volume	9.932	Å³ per atom
ΔE_f	-207.4	kJ per mole of atoms
density	4.4	g cm⁻³
polymorph energy (0 for the lowest one)	0.000	eV per atom
uncorrected energy	-74.3	eV per cell

Unit cell a=5.2580 b=5.2580 c=5.2774 alpha=80.43 beta=80.43 gamma=119.99
Fractional coordinates of all 12 atoms:
Li1 0.5000 0.5000 0.0000
Li2 0.6580 0.3420 0.5000
Li3 0.0000 0.0000 0.5000
Li4 0.3420 0.6580 0.5000
Mo1 0.8329 0.1671 0.0000
Mo2 0.1671 0.8329 0.0000
O1 0.5794 0.9265 0.7630
O2 0.0735 0.4206 0.2370
O3 0.7676 0.7676 0.2394
O4 0.4206 0.0735 0.2370
O5 0.2324 0.2324 0.7606
O6 0.9265 0.5794 0.7630

***

Here is crystalline LiMo2O4 at its relaxed geometry from the Materials Project database. Energies are from GGA+U.

space-group type	Fd-3m, No. 227
volume	10.656	Å³ per atom
ΔE_f	-171.0	kJ per mole of atoms
density	5.9	g cm⁻³
polymorph energy (0 for the lowest one)	0.218	eV per atom
uncorrected energy	-93.3	eV per cell

Unit cell a=5.9532 b=5.9532 c=5.9532 alpha=60.00 beta=60.00 gamma=60.00
Fractional coordinates of all 14 atoms:
Mo1 0.5000 0.5000 0.5000
Mo2 0.5000 0.5000 0.0000
Mo3 0.0000 0.5000 0.5000
Mo4 0.5000 0.0000 0.5000
O1 0.7491 0.7491 0.2527
O2 0.2509 0.7473 0.2509
O3 0.2509 0.2509 0.7473
O4 0.7473 0.2509 0.2509
O5 0.7491 0.2527 0.7491
O6 0.7491 0.7491 0.7491
O7 0.2509 0.2509 0.2509
O8 0.2527 0.7491 0.7491
Li1 0.1250 0.1250 0.1250
Li2 0.8750 0.8750 0.8750

***

Here is crystalline Li4Mo3O8 at its relaxed geometry from the Materials Project database. Energies are from GGA+U.

space-group type	R-3m, No. 166
volume	10.935	Å³ per atom
ΔE_f	-199.3	kJ per mole of atoms
density	4.5	g cm⁻³
polymorph energy (0 for the lowest one)	0.011	eV per atom
uncorrected energy	-95.6	eV per cell

Unit cell a=6.0746 b=6.0746 c=6.0746 alpha=61.55 beta=61.55 gamma=61.55
Fractional coordinates of all 15 atoms:
O1 0.2129 0.7582 0.7582
O2 0.2418 0.2418 0.7871
O3 0.2496 0.2496 0.2496
O4 0.7582 0.7582 0.2129
O5 0.7582 0.2129 0.7582
O6 0.7871 0.2418 0.2418
O7 0.7504 0.7504 0.7504
O8 0.2418 0.7871 0.2418
Li1 0.0000 0.5000 0.5000
Li2 0.5000 0.0000 0.5000
Li3 0.5000 0.5000 0.0000
Li4 0.0000 0.0000 0.0000
Mo1 0.5000 0.0000 0.0000
Mo2 0.0000 0.0000 0.5000
Mo3 0.0000 0.5000 0.0000

***

Here is crystalline Li2MoO3 at its relaxed geometry from the Materials Project database. Energies are from GGA+U.

space-group type	P-1, No. 2
volume	10.124	Å³ per atom
ΔE_f	-206.1	kJ per mole of atoms
density	4.3	g cm⁻³
polymorph energy (0 for the lowest one)	0.013	eV per atom
uncorrected energy	-296.5	eV per cell

Unit cell a=6.1631 b=8.6679 c=10.4116 alpha=113.27 beta=106.60 gamma=89.75
Fractional coordinates of all 48 atoms:
O1 0.1804 0.9270 0.3272
O2 0.8456 0.0903 0.1828
O3 0.6803 0.4176 0.8402
O4 0.1448 0.4256 0.8478
O5 0.6724 0.4030 0.3337
O6 0.6629 0.9182 0.8328
O7 0.3276 0.5970 0.6663
O8 0.6504 0.9259 0.3265
O9 0.5072 0.7604 0.5164
O10 0.8343 0.5994 0.6653
O11 0.3496 0.0741 0.6735
O12 0.1657 0.4006 0.3347
O13 0.4936 0.7558 0.0082
O14 0.5064 0.2442 0.9918
O15 0.0032 0.7524 0.5027
O16 0.3197 0.5824 0.1598
O17 0.3371 0.0818 0.1672
O18 0.9968 0.2476 0.4973
O19 0.8552 0.5744 0.1522
O20 0.0184 0.7442 0.0100
O21 0.4928 0.2396 0.4836
O22 0.1544 0.9097 0.8172
O23 0.8196 0.0730 0.6728
O24 0.9816 0.2558 0.9900
Li1 0.6617 0.6560 0.3193
Li2 0.1719 0.1751 0.8389
Li3 0.5000 0.5000 0.5000
Li4 0.3448 0.3383 0.1595
Li5 0.8281 0.8249 0.1611
Li6 0.6552 0.6617 0.8405
Li7 0.5000 0.0000 0.0000
Li8 0.5000 0.0000 0.5000
Li9 0.0000 0.0000 0.5000
Li10 0.3383 0.3440 0.6807
Li11 0.1679 0.6632 0.3267
Li12 0.5000 0.5000 0.0000
Li13 0.1742 0.6627 0.8374
Li14 0.8321 0.3368 0.6733
Li15 0.0000 0.0000 0.0000
Li16 0.8258 0.3373 0.1626
Mo1 0.6664 0.1679 0.3319
Mo2 0.8308 0.8340 0.6680
Mo3 0.0000 0.5000 0.5000
Mo4 0.3336 0.8321 0.6681
Mo5 0.6584 0.1728 0.8408
Mo6 0.0000 0.5000 0.0000
Mo7 0.3416 0.8272 0.1592
Mo8 0.1692 0.1660 0.3320